MgC8N6 after structural relaxation. Source: the Materials Project database, functional PBE-GGA.

- Space group: P31m, No. 157
- Corrected total energy (MP2020 scheme): -8.30 eV per atom
- Total moment: 0.002 μB/cell
- Density: 1.23 g/cm³
- DFT formation energy: 0.93 eV/f.u.

a b c (Å): 12.9138 12.9184 5.7371
angles (deg): 90.03 89.99 120.01
Element x y z (fractional)
Mg1 0.0000 0.0001 0.1496
Mg2 0.3333 0.6666 0.8919
Mg3 0.6667 0.3333 0.8919
C1 0.0000 0.6600 0.2262
C2 0.6596 0.0001 0.2259
C3 0.3404 0.3404 0.2259
C4 0.0000 0.7640 0.2927
C5 0.7640 0.0002 0.2929
C6 0.2360 0.2362 0.2929
C7 0.1068 0.6624 0.1675
C8 0.5555 0.8933 0.1673
C9 0.3377 0.4446 0.1673
C10 0.8932 0.5555 0.1675
C11 0.6623 0.1069 0.1673
C12 0.4445 0.3378 0.1673
C13 0.6822 0.6819 0.7386
C14 0.0000 0.3178 0.7387
C15 0.3178 0.9998 0.7386
C16 0.7813 0.7812 0.8395
C17 0.0000 0.2186 0.8395
C18 0.2187 0.9999 0.8395
C19 0.5749 0.6830 0.7093
C20 0.1082 0.4249 0.7096
C21 0.3169 0.8917 0.7096
C22 0.4251 0.1081 0.7093
C23 0.6831 0.5749 0.7096
C24 0.8918 0.3167 0.7096
N1 0.0000 0.8525 0.3401
N2 0.8524 0.0001 0.3404
N3 0.1476 0.1477 0.3404
N4 0.1923 0.6599 0.1086
N5 0.4677 0.8078 0.1084
N6 0.3402 0.5324 0.1083
N7 0.8077 0.4676 0.1086
N8 0.6598 0.1923 0.1083
N9 0.5323 0.3401 0.1084
N10 0.8625 0.8625 0.9294
N11 0.0000 0.1374 0.9295
N12 0.1375 0.0000 0.9294
N13 0.4846 0.6835 0.6927
N14 0.1989 0.5152 0.6928
N15 0.3165 0.8011 0.6932
N16 0.5154 0.1988 0.6927
N17 0.6835 0.4846 0.6932
N18 0.8011 0.3164 0.6928